1.
! Li3NbNi3O8 (PBE+U, optimized geometry); values from VASP
&SYSTEM
  ibrav = 0, nat = 30, ntyp = 4
/
ATOMIC_SPECIES
Li 6.94 Li.upf
Nb 92.91 Nb.upf
Ni 58.69 Ni.upf
O 16.00 O.upf
ATOMIC_POSITIONS crystal
Li 0.500 0.500 0.000
Li 0.000 0.000 0.500
Li 0.250 0.250 0.750
Li 0.750 0.750 0.250
Li 0.750 0.250 0.750
Li 0.250 0.750 0.250
Nb 0.000 0.000 0.000
Nb 0.500 0.500 0.500
Ni 0.000 0.500 0.500
Ni 0.750 0.750 0.750
Ni 0.250 0.750 0.750
Ni 0.500 0.000 0.000
Ni 0.250 0.250 0.250
Ni 0.750 0.250 0.250
O 0.500 0.501 0.268
O 0.000 0.001 0.768
O 0.500 0.499 0.732
O 0.000 0.999 0.232
O 0.000 0.487 0.280
O 0.500 0.987 0.780
O 0.000 0.513 0.720
O 0.500 0.013 0.220
O 0.265 0.225 0.001
O 0.765 0.725 0.501
O 0.735 0.225 0.001
O 0.235 0.725 0.501
O 0.265 0.775 0.999
O 0.765 0.275 0.499
O 0.735 0.775 0.999
O 0.235 0.275 0.499
CELL_PARAMETERS angstrom
1.183 5.670 -0.962
-1.065 1.183 5.663
8.314 -1.429 1.797
! M_tot = 0.000 μB/f.u.
! energy relative to the elements = -1.868 eV/atom

---

2.
! LiNbNiO4 (PBE+U, optimized geometry); values from VASP
&SYSTEM
  ibrav = 0, nat = 28, ntyp = 4
/
ATOMIC_SPECIES
Li 6.94 Li.upf
Nb 92.91 Nb.upf
Ni 58.69 Ni.upf
O 16.00 O.upf
ATOMIC_POSITIONS crystal
Li 0.250 0.111 0.000
Li 0.750 0.611 0.500
Li 0.750 0.889 0.000
Li 0.250 0.389 0.500
Nb 0.750 0.250 0.250
Nb 0.250 0.750 0.750
Nb 0.750 0.250 0.750
Nb 0.250 0.750 0.250
Ni 0.000 0.000 0.500
Ni 0.500 0.000 0.500
Ni 0.500 0.500 0.000
Ni 0.000 0.500 0.000
O 0.527 0.249 0.000
O 0.027 0.749 0.500
O 0.973 0.249 0.000
O 0.473 0.749 0.500
O 0.027 0.751 0.000
O 0.527 0.251 0.500
O 0.473 0.751 0.000
O 0.973 0.251 0.500
O 0.750 0.478 0.229
O 0.250 0.979 0.729
O 0.750 0.478 0.771
O 0.250 0.979 0.271
O 0.250 0.522 0.771
O 0.750 0.021 0.271
O 0.250 0.522 0.229
O 0.750 0.021 0.729
CELL_PARAMETERS angstrom
-4.413 0.961 -4.027
-5.820 0.057 6.392
0.755 6.116 0.633
! offset from the most stable computed form = 48 meV/atom
! M_tot = 0.000 μB/f.u.
! energy relative to the elements = -2.352 eV/atom

---

3.
! Li3Nb4NiO12 (PBE+U, optimized geometry); values from VASP
&SYSTEM
  ibrav = 0, nat = 20, ntyp = 4
/
ATOMIC_SPECIES
Li 6.94 Li.upf
Nb 92.91 Nb.upf
Ni 58.69 Ni.upf
O 16.00 O.upf
ATOMIC_POSITIONS crystal
Li 0.286 0.498 0.285
Li 0.793 0.502 0.780
Li 0.780 0.004 0.783
Nb 0.009 0.511 0.988
Nb 0.509 0.499 0.496
Nb 0.005 0.002 0.997
Nb 0.505 0.002 0.500
Ni 0.285 0.990 0.303
O 0.101 0.826 0.724
O 0.213 0.608 0.627
O 0.612 0.682 0.860
O 0.714 0.874 0.364
O 0.360 0.803 0.113
O 0.110 0.315 0.725
O 0.861 0.692 0.226
O 0.221 0.124 0.614
O 0.614 0.177 0.860
O 0.721 0.376 0.358
O 0.369 0.324 0.097
O 0.864 0.190 0.229
CELL_PARAMETERS angstrom
2.593 1.532 4.736
-5.260 3.114 9.497
-2.627 -1.442 9.462
! M_tot = 1.000 μB/f.u.
! energy relative to the elements = -2.693 eV/atom
! space group = P1

---

4.
! Li2Nb6NiO18 (PBE+U, optimized geometry); values from VASP
&SYSTEM
  ibrav = 0, nat = 54, ntyp = 4
/
ATOMIC_SPECIES
Li 6.94 Li.upf
Nb 92.91 Nb.upf
Ni 58.69 Ni.upf
O 16.00 O.upf
ATOMIC_POSITIONS crystal
Li 0.047 0.673 0.952
Li 0.545 0.671 0.449
Li 0.890 0.346 0.123
Li 0.384 0.342 0.616
Nb 0.334 0.645 0.158
Nb 0.505 0.013 0.507
Nb 0.158 0.331 0.333
Nb 0.321 0.669 0.656
Nb 0.026 0.006 0.505
Nb 0.511 0.977 0.994
Nb 0.849 0.683 0.172
Nb 0.656 0.343 0.320
Nb 0.180 0.355 0.829
Nb 0.814 0.648 0.657
Nb 0.999 0.009 0.003
Nb 0.670 0.327 0.845
Ni 0.695 0.997 0.304
Ni 0.197 0.998 0.805
O 0.012 0.863 0.095
O 0.339 0.782 0.020
O 0.066 0.594 0.135
O 0.043 0.893 0.627
O 0.430 0.883 0.291
O 0.319 0.468 0.005
O 0.656 0.781 0.185
O 0.369 0.792 0.523
O 0.726 0.923 0.445
O 0.057 0.589 0.627
O 0.348 0.539 0.281
O 0.371 0.888 0.793
O 0.053 0.213 0.127
O 0.977 0.797 0.341
O 0.302 0.458 0.505
O 0.635 0.739 0.658
O 0.980 0.109 0.349
O 0.697 0.458 0.190
O 0.718 0.914 0.951
O 0.388 0.257 0.296
O 0.347 0.531 0.765
O 0.724 0.542 0.464
O 0.077 0.210 0.630
O 0.001 0.807 0.831
O 0.644 0.105 0.178
O 0.965 0.404 0.323
O 0.308 0.097 0.500
O 0.675 0.458 0.702
O 0.045 0.112 0.849
O 0.376 0.220 0.796
O 0.686 0.183 0.420
O 0.739 0.539 0.966
O 0.643 0.136 0.672
O 0.298 0.068 0.979
O 0.971 0.409 0.845
O 0.688 0.209 0.958
CELL_PARAMETERS angstrom
-1.850 6.178 4.128
-7.098 -4.852 -2.527
4.588 -5.804 8.387
! offset from the most stable computed form = 3 meV/atom
! M_tot = 0.000 μB/f.u.
! energy relative to the elements = -2.672 eV/atom
! space group = P1

---

5.
! Li8NbNi3P6O24 (PBE+U, optimized geometry); values from VASP
&SYSTEM
  ibrav = 0, nat = 42, ntyp = 5
/
ATOMIC_SPECIES
Li 6.94 Li.upf
Nb 92.91 Nb.upf
Ni 58.69 Ni.upf
P 30.97 P.upf
O 16.00 O.upf
ATOMIC_POSITIONS crystal
Li 0.651 0.310 0.833
Li 0.310 0.833 0.651
Li 0.833 0.651 0.310
Li 0.974 0.974 0.974
Li 0.158 0.333 0.698
Li 0.477 0.477 0.477
Li 0.698 0.158 0.333
Li 0.333 0.698 0.158
Nb 0.146 0.146 0.146
Ni 0.651 0.651 0.651
Ni 0.852 0.852 0.852
Ni 0.348 0.348 0.348
P 0.248 0.555 0.954
P 0.954 0.248 0.555
P 0.555 0.954 0.248
P 0.460 0.046 0.746
P 0.046 0.746 0.460
P 0.746 0.460 0.046
O 0.125 0.273 0.533
O 0.533 0.125 0.273
O 0.273 0.533 0.125
O 0.001 0.179 0.399
O 0.399 0.001 0.179
O 0.111 0.751 0.895
O 0.179 0.399 0.001
O 0.429 0.539 0.785
O 0.895 0.111 0.751
O 0.785 0.429 0.539
O 0.539 0.785 0.429
O 0.613 0.010 0.804
O 0.261 0.101 0.894
O 0.010 0.804 0.613
O 0.751 0.895 0.111
O 0.453 0.223 0.570
O 0.223 0.570 0.453
O 0.101 0.894 0.261
O 0.570 0.453 0.223
O 0.804 0.613 0.010
O 0.894 0.261 0.101
O 0.720 0.468 0.881
O 0.468 0.881 0.720
O 0.881 0.720 0.468
CELL_PARAMETERS angstrom
-6.103 -6.318 0.351
2.427 -8.392 -0.981
-0.227 -5.389 6.942
! M_tot = 5.000 μB/f.u.
! energy relative to the elements = -2.488 eV/atom
! space group = R3

---

6.
! Li6NbNi3P6O24 (PBE+U, optimized geometry); values from VASP
&SYSTEM
  ibrav = 0, nat = 40, ntyp = 5
/
ATOMIC_SPECIES
Li 6.94 Li.upf
Nb 92.91 Nb.upf
Ni 58.69 Ni.upf
P 30.97 P.upf
O 16.00 O.upf
ATOMIC_POSITIONS crystal
Li 0.033 0.024 0.012
Li 0.742 0.160 0.350
Li 0.472 0.497 0.484
Li 0.311 0.838 0.644
Li 0.647 0.315 0.832
Li 0.835 0.645 0.313
Nb 0.852 0.852 0.854
Ni 0.144 0.148 0.143
Ni 0.356 0.359 0.354
Ni 0.648 0.651 0.650
P 0.048 0.750 0.442
P 0.444 0.048 0.747
P 0.749 0.445 0.044
P 0.252 0.537 0.959
P 0.540 0.963 0.254
P 0.957 0.251 0.533
O 0.133 0.267 0.507
O 0.276 0.520 0.126
O 0.052 0.922 0.266
O 0.545 0.122 0.278
O 0.233 0.594 0.440
O 0.985 0.813 0.613
O 0.261 0.080 0.904
O 0.472 0.221 0.576
O 0.593 0.442 0.233
O 0.198 0.383 0.987
O 0.098 0.735 0.905
O 0.377 0.005 0.205
O 0.613 0.979 0.817
O 0.906 0.258 0.073
O 0.817 0.610 0.983
O 0.423 0.551 0.776
O 0.550 0.779 0.423
O 0.736 0.903 0.097
O 0.966 0.201 0.383
O 0.778 0.424 0.551
O 0.470 0.890 0.698
O 0.905 0.097 0.732
O 0.694 0.475 0.889
O 0.890 0.696 0.472
CELL_PARAMETERS angstrom
8.730 0.000 0.000
4.302 7.657 0.000
4.345 2.517 7.215
! M_tot = 5.000 μB/f.u.
! energy relative to the elements = -2.463 eV/atom
! space group = P1

---

7.
! Li4Nb3Ni3Sb2O16 (PBE+U, optimized geometry); values from VASP
&SYSTEM
  ibrav = 0, nat = 28, ntyp = 5
/
ATOMIC_SPECIES
Li 6.94 Li.upf
Nb 92.91 Nb.upf
Ni 58.69 Ni.upf
Sb 121.76 Sb.upf
O 16.00 O.upf
ATOMIC_POSITIONS crystal
Li 0.661 0.661 0.112
Li 0.994 0.994 0.019
Li 0.996 0.996 0.498
Li 0.330 0.330 0.592
Nb 0.334 0.833 0.782
Nb 0.833 0.334 0.782
Nb 0.177 0.177 0.281
Ni 0.830 0.830 0.778
Ni 0.171 0.661 0.295
Ni 0.661 0.171 0.295
Sb 0.674 0.674 0.501
Sb 0.351 0.351 0.024
O 0.333 0.839 0.408
O 0.517 0.517 0.657
O 0.662 0.662 0.890
O 0.999 0.999 0.678
O 0.005 0.005 0.205
O 0.839 0.333 0.408
O 0.508 0.958 0.653
O 0.958 0.508 0.653
O 0.160 0.160 0.884
O 0.837 0.837 0.408
O 0.023 0.475 0.166
O 0.475 0.023 0.166
O 0.322 0.322 0.400
O 0.163 0.703 0.895
O 0.483 0.483 0.166
O 0.703 0.163 0.895
CELL_PARAMETERS angstrom
3.049 5.340 0.000
-3.049 5.340 0.000
0.000 0.008 10.157
! M_tot = 6.992 μB/f.u.
! energy relative to the elements = -2.210 eV/atom
! space group = Cm

---

8.
! Li4Nb3Ni3Sn2O16 (PBE+U, optimized geometry); values from VASP
&SYSTEM
  ibrav = 0, nat = 28, ntyp = 5
/
ATOMIC_SPECIES
Li 6.94 Li.upf
Nb 92.91 Nb.upf
Ni 58.69 Ni.upf
Sn 118.71 Sn.upf
O 16.00 O.upf
ATOMIC_POSITIONS crystal
Li 0.663 0.663 0.114
Li 0.989 0.989 0.016
Li 0.992 0.992 0.502
Li 0.331 0.331 0.593
Nb 0.348 0.825 0.786
Nb 0.825 0.348 0.786
Nb 0.171 0.171 0.284
Ni 0.831 0.831 0.787
Ni 0.171 0.658 0.287
Ni 0.658 0.171 0.287
Sn 0.676 0.676 0.497
Sn 0.343 0.343 0.020
O 0.330 0.845 0.402
O 0.516 0.516 0.654
O 0.667 0.667 0.906
O 0.002 0.002 0.690
O 0.004 0.004 0.196
O 0.845 0.330 0.402
O 0.511 0.958 0.661
O 0.958 0.511 0.661
O 0.169 0.169 0.895
O 0.842 0.842 0.402
O 0.031 0.471 0.154
O 0.471 0.031 0.154
O 0.322 0.322 0.399
O 0.175 0.674 0.898
O 0.483 0.483 0.160
O 0.674 0.175 0.898
CELL_PARAMETERS angstrom
3.194 -5.194 -0.162
5.964 0.125 -1.272
2.060 0.947 9.688
! M_tot = 7.000 μB/f.u.
! energy relative to the elements = -2.265 eV/atom
! space group = Cm

---

9.
! Li4Nb2Ni3Sn3O16 (PBE+U, optimized geometry); values from VASP
&SYSTEM
  ibrav = 0, nat = 28, ntyp = 5
/
ATOMIC_SPECIES
Li 6.94 Li.upf
Nb 92.91 Nb.upf
Ni 58.69 Ni.upf
Sn 118.71 Sn.upf
O 16.00 O.upf
ATOMIC_POSITIONS crystal
Li 0.674 0.674 0.898
Li 0.987 0.987 0.984
Li 0.993 0.993 0.498
Li 0.332 0.332 0.407
Nb 0.676 0.676 0.499
Nb 0.352 0.352 0.978
Ni 0.829 0.829 0.215
Ni 0.661 0.172 0.712
Ni 0.172 0.661 0.712
Sn 0.833 0.338 0.215
Sn 0.338 0.833 0.215
Sn 0.171 0.171 0.717
O 0.833 0.340 0.588
O 0.513 0.513 0.341
O 0.667 0.667 0.102
O 0.996 0.996 0.312
O 0.998 0.998 0.800
O 0.340 0.833 0.588
O 0.957 0.516 0.347
O 0.516 0.957 0.347
O 0.161 0.161 0.094
O 0.829 0.829 0.591
O 0.479 0.041 0.852
O 0.041 0.479 0.852
O 0.335 0.335 0.610
O 0.663 0.171 0.092
O 0.487 0.487 0.850
O 0.171 0.663 0.092
CELL_PARAMETERS angstrom
3.072 5.296 0.000
-3.072 5.296 0.000
0.000 0.140 9.844
! M_tot = 6.000 μB/f.u.
! energy relative to the elements = -2.211 eV/atom
! space group = Cm

---

10.
! Li4Nb3Ni3Te2O16 (PBE+U, optimized geometry); values from VASP
&SYSTEM
  ibrav = 0, nat = 28, ntyp = 5
/
ATOMIC_SPECIES
Li 6.94 Li.upf
Nb 92.91 Nb.upf
Ni 58.69 Ni.upf
Te 127.60 Te.upf
O 16.00 O.upf
ATOMIC_POSITIONS crystal
Li 0.664 0.664 0.905
Li 0.996 0.996 0.982
Li 0.992 0.992 0.500
Li 0.337 0.337 0.405
Nb 0.843 0.344 0.221
Nb 0.344 0.843 0.221
Nb 0.180 0.180 0.732
Ni 0.833 0.833 0.205
Ni 0.659 0.170 0.715
Ni 0.170 0.659 0.715
Te 0.671 0.671 0.517
Te 0.357 0.357 0.994
O 0.833 0.336 0.603
O 0.509 0.509 0.329
O 0.665 0.665 0.101
O 0.992 0.992 0.314
O 0.006 0.006 0.799
O 0.336 0.833 0.603
O 0.989 0.490 0.319
O 0.490 0.989 0.319
O 0.142 0.142 0.096
O 0.833 0.833 0.602
O 0.483 0.016 0.833
O 0.016 0.483 0.833
O 0.321 0.321 0.607
O 0.682 0.176 0.091
O 0.481 0.481 0.852
O 0.176 0.682 0.091
CELL_PARAMETERS angstrom
3.166 -4.727 -2.370
5.920 0.562 -1.620
2.985 -2.907 9.539
! M_tot = 5.886 μB/f.u.
! energy relative to the elements = -2.158 eV/atom
! space group = Cm